MgMnCuO2 after structural relaxation, computed with PBE with a Hubbard U.

Cell and atoms, written as extended XYZ:
```
5
Lattice="-1.2432 1.8357 -2.1438 -1.9292 -1.7444 1.8433 1.0617 6.1584 4.6578" Properties=species:S:1:pos:R:3 pbc="T T T"
Mg -1.6525 2.2155 0.6370
Mn -1.9821 5.9642 4.0383
Cu -0.1264 4.4121 1.6330
O -0.2722 5.8244 2.9269
O -1.8772 0.3171 1.3602
```

Properties
- Formation energy from the elements: -1521 meV/atom
- Electronic total energy: -29.318 eV/cell

***

MgTiMn3O8 after structural relaxation, computed with PBE with a Hubbard U.

Cell and atoms, written as extended XYZ:
```
13
Lattice="10.3880 0.0815 0.3932 8.7279 5.6341 0.3932 14.0058 4.1877 3.2283" Properties=species:S:1:pos:R:3 pbc="T T T"
Mg 26.1189 7.8094 2.4007
Ti 14.0054 4.1876 3.2277
Mn 14.7517 2.8994 0.5899
Mn 13.9218 5.6740 0.5899
Mn 23.5639 7.0455 3.6214
O 22.9247 6.8545 1.8106
O 8.0045 3.8652 0.9579
O 8.8125 1.1630 0.9579
O 10.1972 3.0490 2.2044
O 13.2839 3.9718 1.2907
O 25.1172 6.0380 3.0568
O 24.3093 8.7402 3.0569
O 19.8381 5.9315 2.7239
```

Properties
- Formation energy from the elements: -2358 meV/atom
- Electronic total energy: -96.723 eV/cell

***

LiV2F7 after structural relaxation, computed with PBE with a Hubbard U.

Cell and atoms, written as extended XYZ:
```
40
Lattice="-2.8158 0.7766 6.5241 -4.1721 -6.5354 -1.0227 7.5402 -5.6102 3.9221" Properties=species:S:1:pos:R:3 pbc="T T T"
Li 1.9554 -5.1692 6.0971
Li 1.1019 -8.9490 2.3770
Li -1.2956 -2.5073 2.9332
Li -4.8828 -5.5331 5.5469
V 6.0957 -5.8285 4.2345
V 2.5952 -8.5510 6.9713
V 2.5029 -5.8274 2.6234
V -1.0257 -8.5383 5.3471
V 0.1640 -2.4272 7.2817
V -0.5152 -5.9278 3.4817
V -3.4722 -2.4142 5.7712
V -4.1793 -5.9033 1.9574
F 4.1062 -6.0632 9.2691
F 5.7153 -5.3553 6.0867
F 3.2145 -9.5716 5.3925
F 2.2416 -8.1134 8.8418
F 2.8248 -6.7890 6.4248
F 1.9242 -10.6156 2.5715
F 4.1828 -5.9499 3.6126
F 0.6760 -8.4410 6.3111
F 3.3173 -3.8618 6.1620
F 2.4737 -7.6846 2.3917
F 1.3620 -5.8258 4.3259
F 0.5316 -4.5168 7.3148
F -2.1467 -8.6037 7.0473
F -0.2759 -8.0347 3.4792
F 2.3920 -3.8252 2.5444
F 1.2740 -2.3651 5.6807
F -1.3107 -6.5583 5.1810
F 0.6233 -5.9018 1.8948
F -0.5990 -4.0794 3.6614
F -4.3185 -7.1286 6.3392
F -1.6128 -2.5862 6.3446
F -2.3042 -5.8538 2.5197
F -0.1978 -1.1271 3.6101
F -3.8179 -4.1840 6.2728
F -3.0347 -2.8479 3.8166
F -1.3461 -2.2337 0.9691
F -3.7354 -6.4003 0.0319
F -4.9622 -4.9769 3.6408
```

Properties
- Formation energy from the elements: -3155 meV/atom
- Electronic total energy: -233.577 eV/cell

***

Li7CrO6 after structural relaxation, computed with PBE with a Hubbard U.

Cell and atoms, written as extended XYZ:
```
28
Lattice="2.8203 4.8248 0.0000 -2.8203 4.8248 0.0000 0.0000 0.0047 10.7339" Properties=species:S:1:pos:R:3 pbc="T T T"
Li -1.7508 3.0063 2.7791
Li 1.0893 7.7862 9.2517
Li -1.0921 4.9608 7.9250
Li -0.7474 1.5385 7.9607
Li -0.6418 4.8337 3.8991
Li -0.0384 3.2954 6.3644
Li -0.1060 6.4618 0.9874
Li 0.0384 3.2931 0.9974
Li 0.1060 6.4642 6.3543
Li 0.6418 4.8361 9.2661
Li 0.7474 1.5361 2.5937
Li 1.0921 4.9585 2.5580
Li -1.0893 7.7838 3.8848
Li 1.7508 3.0086 8.1460
Cr 2.7813 4.8481 5.3883
Cr -2.7813 4.8457 0.0214
O 0.8298 8.2143 0.5142
O -1.1725 4.8760 5.8875
O -0.7575 1.4584 5.9422
O -0.1066 3.3255 8.3170
O -0.1465 6.4037 2.9383
O -0.0429 9.5483 9.0022
O 0.0429 9.5460 3.6353
O 0.1066 3.3231 2.9500
O 0.1465 6.4060 8.3052
O 0.7575 1.4561 0.5752
O 1.1725 4.8737 0.5206
O -0.8298 8.2167 5.8812
```

Properties
- Formation energy from the elements: -2073 meV/atom
- Electronic total energy: -151.218 eV/cell

***

MgV12B4O20 after structural relaxation, computed with PBE with a Hubbard U.

Cell and atoms, written as extended XYZ:
```
37
Lattice="2.7544 -1.4910 0.1641 -3.2877 -5.2488 7.4938 -4.2551 -8.8224 -8.7403" Properties=species:S:1:pos:R:3 pbc="T T T"
Mg -0.4072 -3.7765 2.4945
V -2.8538 -7.9749 5.4137
V -1.9620 -7.6514 -6.6188
V -3.2678 -9.5991 -2.3975
V -1.5301 -5.9871 1.2549
V -4.0504 -10.4337 3.1564
V -4.3356 -11.7321 -3.8551
V 0.2791 -6.2506 -1.5341
V -5.0962 -9.3749 0.3579
V -4.6324 -9.2015 -5.8512
V -0.1810 -6.4176 4.6715
V -3.2887 -5.2596 7.4135
V -1.0261 -8.5473 -0.4938
B -1.4796 -2.6892 0.4013
B -3.3164 -12.9036 -1.6328
B -3.4734 -6.8457 -3.9003
B -1.3355 -8.7649 2.7235
O -1.2918 -2.1971 1.7203
O -3.5129 -13.4116 -2.9514
O -2.8329 -5.6355 -3.6562
O -1.9759 -9.9750 2.4759
O -1.0237 -1.9615 -0.6398
O -6.5340 -12.1534 -0.7540
O -3.9413 -7.5888 -2.7982
O -0.8613 -8.0087 1.6348
O -0.5505 -4.5723 -2.3327
O -4.2682 -11.0565 1.1540
O -3.4488 -10.1589 -4.4458
O -1.2722 -5.2901 3.2611
O 0.6108 -5.4129 0.5098
O -5.4116 -10.1824 -1.6850
O -3.6521 -7.3188 -5.2003
O -3.9118 -6.8019 3.8567
O -1.7153 -6.5522 -0.7714
O -3.0950 -9.0576 -0.3769
O -2.9438 -9.5230 -7.1446
O -1.8754 -6.1099 5.9375
```

Properties
- Formation energy from the elements: -2310 meV/atom
- Electronic total energy: -287.620 eV/cell

***

DyWO4 after structural relaxation, computed with PBE with a Hubbard U.

Cell and atoms, written as extended XYZ:
```
12
Lattice="-1.1929 -3.7088 5.4423 -1.9316 3.7119 5.2237 -1.9985 -0.3868 -6.3760" Properties=species:S:1:pos:R:3 pbc="T T T"
Dy -2.7462 1.6633 2.0904
Dy -1.5623 0.0016 5.3330
W 0.0000 0.0000 0.0000
W -2.3768 -2.0470 2.1997
O -2.9805 1.2088 -2.7822
O -1.8939 -2.1138 6.2231
O -3.7615 1.7307 -0.1158
O -1.2643 -0.4535 -1.3568
O -1.1126 -1.5935 3.5565
O -2.5455 -0.4525 1.1632
O -3.6074 0.0699 6.6426
O -3.3264 0.0693 3.8296
```

Properties
- Formation energy from the elements: -2925 meV/atom
- Electronic total energy: -95.445 eV/cell

***

Li9Mn2Co5O16 after structural relaxation, computed with PBE with a Hubbard U.

Cell and atoms, written as extended XYZ:
```
32
Lattice="1.4110 -7.4862 -1.2190 6.9614 2.6074 -2.0639 3.0342 -1.3366 3.9656" Properties=species:S:1:pos:R:3 pbc="T T T"
Li 5.3720 -6.2510 0.1458
Li 8.1090 -6.1459 -0.7828
Li 2.5000 -1.2380 1.6336
Li 5.4034 -1.2412 0.6416
Li 8.1514 -1.1966 -0.2773
Li 3.9954 -3.8018 0.8559
Li 6.7802 -3.7386 -0.1209
Li 9.4707 -3.6696 -0.9901
Li 10.3453 -5.5980 1.0858
Mn 6.1492 -8.1389 2.2297
Mn 10.3018 -0.5872 1.5976
Co 4.5378 0.7087 -1.4427
Co 3.1963 -1.8602 -1.2254
Co 6.0040 -1.8481 -2.1759
Co 1.7452 -4.3696 -1.0175
Co 4.6301 -4.3465 -1.9668
O 3.5491 -5.4008 -0.5124
O 6.2262 -5.3127 -1.4715
O 0.8164 -0.3780 0.8483
O 3.4333 -0.2221 -0.1070
O 6.4101 -0.1980 -0.9480
O 2.0266 -2.7803 0.1072
O 4.9430 -2.7759 -0.6896
O 7.7093 -2.6157 -1.6972
O 7.1061 -7.2280 0.8037
O 8.6339 0.2228 1.1482
O 4.3177 -2.1837 2.2769
O 7.2268 -2.1637 1.4029
O 9.9514 -2.0537 0.3706
O 5.8049 -4.7494 1.6194
O 8.4585 -4.6042 0.5626
O 4.5397 -7.2226 1.7714
```

Properties
- Formation energy from the elements: -1839 meV/atom
- Electronic total energy: -186.530 eV/cell

***

Li4V3P8O29 after structural relaxation, computed with PBE with a Hubbard U.

Cell and atoms, written as extended XYZ:
```
88
Lattice="-7.8918 -1.0162 5.6240 -7.0726 -6.1921 -2.6119 6.3447 -10.4545 7.2109" Properties=species:S:1:pos:R:3 pbc="T T T"
Li -5.5603 -7.5333 6.6288
Li -6.4127 -16.2280 8.7789
Li -2.0497 -14.9188 6.6441
Li -6.2355 -10.5397 2.6138
Li -6.6085 -2.7167 3.6012
Li -3.0267 -10.2128 3.5593
Li 5.9816 -10.6191 7.2886
Li -4.3350 -6.3494 8.9367
V -6.8067 -14.5339 5.9360
V -1.8387 -3.1173 4.2628
V -5.9593 -5.8679 3.8342
V -2.6392 -11.8039 6.3949
V 1.6986 -10.5656 4.3010
V -10.3068 -7.0837 5.9269
P -8.4117 -4.4250 5.4896
P -4.1494 -9.6437 8.3190
P -8.5636 -12.6267 7.8943
P -4.4991 -13.9117 8.2535
P -7.6139 -8.6221 4.6791
P -11.5591 -8.1194 3.1211
P -3.9197 -4.8117 6.1555
P -6.9768 -6.8014 0.8783
P -1.6395 -10.8619 9.3528
P -4.7657 -12.7974 4.0886
P 2.9633 -9.4829 7.0496
P -0.9650 -9.0303 5.5360
P -4.1582 -3.7958 1.9743
P -0.0491 -5.0389 2.3165
P -4.4554 -8.0023 1.8939
P -0.1987 -13.2115 4.7375
O -6.6441 -6.7783 8.0246
O -5.4148 -10.0908 9.0963
O -1.6507 -11.8106 10.5032
O -7.2396 -4.5643 4.4435
O -9.4848 -5.5118 5.2002
O -4.9037 -12.6583 9.1113
O -7.4106 -11.7575 8.4231
O -7.5642 -15.6094 10.1940
O -11.4286 -7.2818 4.4247
O -6.8549 -7.2132 4.7589
O -3.9176 -10.5830 7.1290
O -9.0763 -8.2493 5.1041
O -3.9422 -15.0536 9.0305
O -6.8728 -9.5662 5.5592
O -5.8605 -14.3534 7.5757
O -6.9875 -6.1300 2.2838
O -3.5363 -13.4081 7.1234
O -8.1108 -13.3597 6.5912
O -4.7735 -3.4343 6.2231
O -3.6426 -5.2983 7.5177
O -12.7357 -7.6868 2.2899
O -10.2315 -8.0984 2.3677
O -7.6430 -9.0614 3.1844
O -0.4413 -9.8792 9.5053
O -5.8840 -13.1252 5.1275
O -3.7041 -11.8728 4.7522
O -2.9370 -9.9088 9.3634
O -4.2134 -8.1950 7.9658
O -4.5086 -9.4424 2.3435
O -4.8905 -5.8096 5.4272
O -2.7067 -4.5056 5.2410
O -8.1221 -7.8269 0.8038
O -0.7913 -8.7302 7.0962
O 1.6827 -9.4963 7.9128
O -2.8339 -15.9390 5.1751
O -5.2709 -12.1989 2.8233
O 3.0596 -7.9900 6.4132
O -0.4278 -4.3627 3.6606
O -5.0803 -4.3705 3.1599
O -1.6005 -11.5361 7.9541
O -2.8380 -3.3953 2.6598
O -4.9426 -2.7520 1.2770
O -1.5859 -7.9050 4.7980
O 0.5004 -9.3895 5.0953
O -4.6910 -7.0381 3.0908
O -1.7707 -10.3570 5.3956
O 2.8010 -10.4217 5.8306
O 0.1340 -3.8165 1.2742
O -8.8363 -3.0089 5.5474
O -1.2585 -5.8585 1.7896
O -3.7677 -5.0440 1.0861
O 0.8397 -12.1001 5.0373
O -1.3479 -13.1502 5.7821
O -6.9964 -5.8282 -0.2462
O -5.6362 -7.7097 0.8403
O -3.1548 -7.6336 1.1684
O -1.9995 -10.9409 2.0764
O -0.9051 -12.7836 3.3440
```

Properties
- Formation energy from the elements: -2575 meV/atom
- Electronic total energy: -619.883 eV/cell